## P
56
Lattice="-3.948 -3.223 6.519 -3.128 -5.945 -4.833 6.566 -4.770 1.618" Properties=species:S:1:pos:R:3 comment="Li3Mn3O8, relaxed, DFT GGA+U" magmom_total_mub_per_cell=32.0 density_g_cm3=3.68 pbc="T T T"
O 1.561 -10.725 -0.144
Li -0.002 -0.050 0.012
Li -0.126 -3.434 0.814
O 0.574 -7.655 0.449
O -2.543 -5.593 -0.468
Mn -2.079 -11.031 2.478
O 3.095 -6.963 5.050
O 2.976 -7.458 1.862
Li -2.250 -8.573 4.865
O -2.489 -6.152 -2.961
O -1.814 -7.972 -1.048
O -0.529 -4.589 4.078
Mn 1.443 -6.398 1.622
O -2.598 -4.756 2.587
O -0.214 -5.811 -1.497
Li 1.542 -8.857 -0.781
O 0.930 -9.413 5.293
Li -3.807 -5.645 4.094
O 2.493 -5.633 0.139
Mn 0.547 -11.411 1.283
Mn 0.316 -10.734 4.104
Mn -3.399 -6.999 -1.551
O -4.439 -7.792 -0.078
Li 1.208 -7.508 4.860
Mn -1.160 -6.008 2.865
O -1.287 -9.776 3.632
O 0.461 -7.023 3.098
Li -3.645 -8.075 1.716
Mn -1.356 -5.356 5.694
Li 3.001 -9.327 2.496
O 3.429 -8.249 -0.791
Mn 4.053 -6.809 0.401
Mn 3.221 -4.134 1.192
O -1.972 -6.669 4.425
O -1.018 -10.411 0.994
O 1.785 -2.968 0.652
Mn -2.012 -3.350 3.690
O 0.897 -8.706 -2.640
O -1.840 -7.280 1.659
Li -0.768 -7.393 -2.807
O 1.195 -10.121 2.560
O 4.678 -5.371 1.438
O -4.828 -7.158 3.002
Li -0.319 -8.711 2.065
O -0.442 -12.060 2.859
O -2.765 -4.195 5.250
Li 3.873 -6.125 3.256
Mn -0.983 -6.684 0.040
O 0.186 -6.472 6.206
Mn -1.656 -4.710 -1.990
Li -1.770 -9.925 -0.764
O -0.196 -5.362 1.271
O -3.595 -10.028 2.003
O -1.008 -2.476 2.297
O -1.095 -3.229 -0.893
O 2.244 -4.934 2.585

## Q
28
Lattice="0.737 -0.412 -5.727 -3.374 -3.805 2.765 -7.858 5.924 -1.437" Properties=species:S:1:pos:R:3 comment="Li3Mn3O8, relaxed, DFT GGA+U" magmom_total_mub_per_cell=16.0 density_g_cm3=3.61 pbc="T T T"
O -6.399 4.824 -1.170
O -2.470 1.862 -0.452
Mn -5.563 3.250 -5.331
Mn -5.929 3.455 -2.481
O -5.432 -1.989 -0.555
Li -3.697 0.766 -3.456
Li -7.837 5.908 -1.433
O -6.171 4.531 -4.045
Li -3.908 2.946 -0.715
O -4.234 -0.075 0.789
O -2.582 -2.310 -3.092
O -7.703 2.804 -2.790
Li -0.670 -1.516 -2.903
O -7.543 0.346 0.568
O -7.368 2.617 -5.389
O -7.149 0.125 -2.492
O -3.900 -0.262 -1.811
O -5.740 2.379 -0.909
O -0.779 -0.277 -4.569
Mn -2.689 -0.075 -0.340
Mn -7.242 1.356 -3.955
Mn -4.368 -1.969 1.036
O -5.420 2.065 -3.771
O -2.861 -2.028 -0.222
O -1.173 -0.057 -1.509
Li -8.996 2.597 -1.344
Li -5.969 0.315 -0.790
Mn -4.001 -2.174 -1.814

## R
56
Lattice="-1.204 2.706 -7.797 0.125 -7.883 -2.722 -8.231 -0.593 0.917" Properties=species:S:1:pos:R:3 comment="Li3Mn3O8, relaxed, DFT GGA+U" magmom_total_mub_per_cell=32.0 density_g_cm3=3.61 pbc="T T T"
O -2.449 -5.123 -3.799
O -2.621 -4.214 -7.633
O -0.494 0.426 -1.720
O -4.262 -3.607 -2.810
O -6.642 -1.920 -1.794
Li -7.411 -4.999 -1.903
O -2.289 -1.463 -2.469
Mn -9.012 -4.503 -7.006
Mn -4.336 -5.426 -3.583
Li -1.262 -5.840 -5.268
Mn -7.039 -2.408 -6.575
Mn -4.081 -4.239 -0.947
Li -7.888 0.147 -4.398
Li -2.075 -0.707 -7.700
O -5.130 -2.297 -7.021
O -0.680 -0.645 -4.310
Mn -6.666 -4.999 -5.293
O -6.416 -6.756 -6.001
Li -2.339 -7.543 -3.875
Li -4.984 -0.257 -6.060
O -4.699 -4.933 -5.463
Mn -1.197 2.654 -7.772
O -0.472 -3.106 -3.202
Mn -2.599 -0.750 -4.278
O -2.572 -2.555 -4.769
O -7.564 1.920 -7.114
Mn -7.414 0.187 -7.778
O -7.116 -0.600 -6.061
Li -5.695 -2.366 -3.516
O -7.022 -4.295 -7.138
O -8.533 -5.092 -5.236
O -4.524 -0.724 -3.898
Li -3.622 -3.350 -6.111
O -2.734 1.141 -3.727
Li -4.955 -4.242 -7.965
O -2.838 -0.035 -6.001
O -6.749 -3.129 -4.873
O -0.832 -5.759 -8.602
Mn -4.569 -6.787 -6.135
O -4.186 -7.164 -4.297
O -6.257 -5.456 -3.497
O -8.933 -2.707 -6.450
Mn -0.295 -1.290 -2.585
Li -4.394 -1.211 -1.788
O -8.169 -2.470 0.180
Mn -2.315 -3.381 -3.057
O -4.358 -2.465 -0.292
Mn -2.872 1.823 -5.553
O -4.593 -6.160 -7.941
O -7.234 -1.660 -8.391
O -4.200 -5.959 -1.780
Li -5.884 -6.886 -1.576
O -9.080 -4.089 -8.891
O -3.010 2.392 -7.320
O -2.274 -3.951 -1.234
Li -0.540 -2.583 -5.262

Least stable structure: Q

## P
49
Lattice="5.880 0.000 0.000 0.000 9.908 0.000 0.000 0.038 9.959" Properties=species:S:1:pos:R:3 comment="LiMn16O32, relaxed, DFT GGA+U" magmom_total_mub_per_cell=49.0 density_g_cm3=4.00 pbc="T T T"
O 0.000 9.511 6.583
Mn 2.940 1.531 6.617
Mn 0.000 6.637 8.435
O 0.000 6.590 0.399
Mn 1.474 3.485 8.276
Mn 0.000 8.421 3.317
O 1.470 8.242 4.543
O 1.465 4.525 1.617
O 2.940 3.354 9.503
Mn 1.474 1.672 3.467
O 1.468 7.916 8.375
Mn 1.475 6.451 1.623
O 0.000 0.434 3.366
O 0.000 3.349 9.498
Mn 1.472 8.286 6.460
O 4.410 1.576 7.897
O 4.416 8.354 2.028
O 4.411 2.019 1.543
Mn 0.000 3.290 1.455
O 0.000 3.452 6.976
O 1.468 2.019 1.543
O 2.940 6.458 2.901
O 0.000 3.024 3.407
Mn 0.000 1.527 6.618
Mn 4.406 3.485 8.276
O 2.940 7.003 6.509
O 2.940 6.591 0.396
O 2.940 3.447 6.992
O 2.940 0.427 3.364
O 4.410 5.412 8.285
Mn 4.408 8.286 6.460
Mn 4.406 1.672 3.467
O 0.000 6.429 2.941
Mn 2.940 3.296 1.483
O 1.463 8.354 2.028
O 1.471 1.701 5.395
O 4.412 7.916 8.375
O 1.469 1.576 7.897
Li 0.000 4.862 4.198
O 2.940 2.971 3.395
O 4.414 4.525 1.617
Mn 2.940 6.638 8.428
O 2.940 9.512 6.585
Mn 4.404 6.451 1.623
O 4.409 1.701 5.395
O 4.410 8.242 4.543
O 1.469 5.412 8.285
O 0.000 6.990 6.502
Mn 2.940 8.408 3.308

## Q
49
Lattice="2.893 5.130 0.000 -2.893 5.130 0.000 0.000 2.807 18.974" Properties=species:S:1:pos:R:3 comment="LiMn16O32, relaxed, DFT GGA+U" magmom_total_mub_per_cell=49.0 density_g_cm3=4.12 pbc="T T T"
Mn -1.431 8.853 16.624
O 0.000 5.049 3.348
O 0.000 9.927 3.520
Li 0.000 1.661 0.515
O 1.618 5.897 8.249
Mn 1.450 4.194 2.382
Mn -1.448 7.484 7.139
Mn 0.000 7.875 18.877
Mn 1.448 7.484 7.139
O 0.000 10.098 10.726
O 0.000 2.993 8.273
O -1.307 5.822 1.301
O -1.344 5.250 15.384
Mn 0.000 6.754 2.383
Mn -1.450 4.194 2.382
O 0.000 8.165 15.624
O -1.453 7.171 10.780
O 1.307 5.822 1.301
Mn 0.000 8.403 4.771
O 0.000 8.341 8.113
Mn 1.431 8.853 16.624
O 0.000 9.471 17.769
O 1.292 7.715 3.477
O 0.000 3.022 15.443
O 0.000 6.252 12.947
O -1.379 7.379 17.809
Mn 0.000 10.061 7.160
O 1.610 3.964 6.033
O 0.000 1.491 6.168
O 0.000 11.472 12.899
O 0.000 8.461 1.409
O 1.344 5.250 15.384
O 0.000 4.923 10.812
O 1.442 9.151 12.891
O 0.000 3.556 1.231
O 0.000 6.880 5.986
Mn -1.425 5.584 11.821
Mn 0.000 8.169 11.830
O -1.442 9.151 12.891
Mn 0.000 4.563 14.131
O 1.379 7.379 17.809
O -1.618 5.897 8.249
O 1.453 7.171 10.780
Mn 1.425 5.584 11.821
O -1.610 3.964 6.033
Mn 0.000 1.538 9.577
O 0.000 4.439 17.581
Mn 0.000 11.361 14.817
O -1.292 7.715 3.477

Least stable structure: Q

## P
28
Lattice="2.993 0.000 0.000 0.146 8.183 0.000 0.765 2.068 10.505" Properties=species:S:1:pos:R:3 comment="Li4Mn3O7, relaxed, DFT GGA+U" magmom_total_mub_per_cell=22.0 density_g_cm3=3.93 pbc="T T T"
O 2.890 1.986 2.824
Mn 1.442 2.128 1.450
O 1.228 8.130 4.457
Li 1.192 2.069 4.535
Mn 2.462 8.124 9.056
O 1.433 3.949 1.535
Mn 2.944 8.194 2.959
O 1.339 4.171 4.563
Li 2.872 4.104 2.905
Li 2.711 8.183 5.971
O 1.013 8.265 7.681
O 2.676 2.122 6.048
O 1.636 8.288 1.551
O 2.471 6.302 8.970
Mn 2.626 4.109 6.016
Li 1.031 6.148 7.601
O 2.267 1.964 8.954
Mn 0.960 2.058 7.547
Li 0.073 4.092 0.000
O 0.926 4.027 7.488
O 2.565 6.080 5.943
O 0.956 8.204 10.304
O 2.947 2.048 0.201
Li 0.000 0.000 0.000
Li 1.474 6.024 1.492
O 2.977 6.225 3.017
Li 2.429 4.227 9.014
Mn 1.278 6.142 4.489

## Q
28
Lattice="1.442 4.895 0.000 -1.442 4.895 0.000 0.000 2.509 18.530" Properties=species:S:1:pos:R:3 comment="Li4Mn3O7, relaxed, DFT GGA+U" magmom_total_mub_per_cell=22.0 density_g_cm3=3.87 pbc="T T T"
Mn 0.000 7.169 1.352
O 0.000 2.817 6.092
O 0.000 2.054 11.314
Mn 0.000 5.131 17.178
Li 0.000 4.546 2.647
O 0.000 9.483 12.437
O 0.000 1.059 1.922
O 0.000 6.600 13.804
Mn 0.000 6.567 6.804
O 0.000 5.700 4.726
Li 0.000 7.754 15.883
Li 0.000 3.849 8.018
O 0.000 7.396 8.413
Li 0.000 8.451 10.512
Li 0.000 1.255 9.265
O 0.000 3.484 0.776
Li 0.000 3.136 13.118
O 0.000 8.060 3.445
O 0.000 4.904 10.116
Mn 0.000 1.976 4.074
O 0.000 4.240 15.085
Mn 0.000 5.733 11.725
O 0.000 10.246 7.215
O 0.000 8.816 17.753
Li 0.000 9.164 5.412
Li 0.000 0.000 0.000
O 0.000 11.241 16.607
Mn 0.000 10.324 14.456

## R
28
Lattice="-5.546 8.621 -1.760 1.384 -10.243 -1.153 -4.158 -1.433 2.921" Properties=species:S:1:pos:R:3 comment="Li4Mn3O7, relaxed, DFT GGA+U" magmom_total_mub_per_cell=22.0 density_g_cm3=3.89 pbc="T T T"
Mn -3.058 1.849 -1.542
Mn -5.056 7.288 -1.717
O -3.225 -4.255 -1.484
Li -3.679 -2.837 0.046
O -4.705 -6.325 0.269
O -0.636 -4.839 0.000
Li -6.644 5.235 -0.214
O -5.950 -3.775 0.132
O -7.683 1.783 0.008
Mn 0.894 -8.910 -1.196
Li -4.641 -0.218 -0.038
O -5.180 1.066 -1.655
O -4.092 -1.452 1.591
O -3.614 3.269 -0.261
Mn -0.099 -6.207 -1.283
O -1.339 -2.086 -0.034
Li -5.653 2.539 -0.127
Li -2.081 -0.811 -1.457
Li -1.675 -8.291 0.222
Mn -4.063 4.585 -1.630
O -5.094 1.199 1.492
Li -2.666 -5.595 0.135
O -4.227 -1.604 -1.583
O -6.981 -0.970 0.042
O -2.369 0.719 -0.124
Li -2.079 -0.717 1.461
O -3.139 -4.122 1.663
Mn -1.104 -3.471 -1.371

Least stable structure: P